Computed, not measured: an optimized crystal structure of NaLi3Ti2Al2P6O24 at the PBE-GGA level of DFT.

Lattice parameters (Å, degrees): 8.5542 8.5647 8.5921 60.68 60.19 60.06
Sites, in units of the cell vectors:
1 Na 0.0000 0.0000 0.0000
2 Li 0.3527 0.1653 0.7478
3 Li 0.4822 0.5483 0.4887
4 Li 0.7438 0.3834 0.7394
5 Ti 0.6394 0.6622 0.0774
6 Ti 0.8588 0.8796 0.4220
7 Al 0.1422 0.1668 0.5611
8 Al 0.3493 0.3762 0.9364
9 P 0.0431 0.4807 0.7472
10 P 0.2494 0.9895 0.2451
11 P 0.4552 0.7701 0.7481
12 P 0.5303 0.2728 0.2505
13 P 0.7478 0.0634 0.7508
14 P 0.9601 0.5495 0.2572
15 O 0.0114 0.6527 0.5718
16 O 0.0604 0.2934 0.7421
17 O 0.0788 0.9641 0.2506
18 O 0.1267 0.5092 0.0805
19 O 0.2008 0.0330 0.4179
20 O 0.2369 0.4430 0.7540
21 O 0.2746 0.9488 0.7370
22 O 0.3033 0.1435 0.0546
23 O 0.3647 0.2288 0.4328
24 O 0.4165 0.7947 0.2529
25 O 0.4403 0.5935 0.7551
26 O 0.4888 0.7341 0.9262
27 O 0.5041 0.3191 0.0660
28 O 0.5530 0.4425 0.2501
29 O 0.5735 0.2519 0.7547
30 O 0.6333 0.8024 0.5739
31 O 0.7110 0.8925 0.9286
32 O 0.7198 0.1013 0.2547
33 O 0.7672 0.5755 0.2556
34 O 0.7831 0.0274 0.5755
35 O 0.8691 0.5156 0.9249
36 O 0.9118 0.1016 0.7395
37 O 0.9404 0.7409 0.2550
38 O 0.9804 0.3945 0.4449

Summary:
total energy after the MP2020 corrections = -7.737 eV per atom
total DFT energy (no corrections) = -7.3035 eV per atom
crystal system = triclinic
formation energy from the elements = -2.96 eV/atom